VASP calculation (r2SCAN) on crystalline Li7Mn2Co3O12 at its relaxed geometry.

Calculated values
Calculated volume   192.1 Å³ per cell
ΔH_f (0 K)   -2.008 eV per atom
Space-group type   P1 (1)
Raw total energy   -8.569 eV/atom
Size of the total moment   0.248 μB per atom
Polymorph energy (0 for the lowest one)   0.0 meV/atom

The structure in POSCAR format:
```
Li7Mn2Co3O12
1.0
4.944 0.000 0.000
1.588 5.396 0.000
1.558 0.999 7.201
Li Mn Co O
7 2 3 12
Direct
0.000 0.000 0.000 Li
0.000 0.335 0.652 Li
0.004 0.830 0.654 Li
0.005 0.655 0.323 Li
0.007 0.491 0.005 Li
0.499 0.332 0.165 Li
0.996 0.178 0.320 Li
0.501 0.171 0.828 Mn
0.504 0.827 0.162 Mn
0.501 0.000 0.490 Co
0.501 0.497 0.490 Co
0.503 0.664 0.827 Co
0.272 0.323 0.419 O
0.276 0.151 0.064 O
0.276 0.675 0.069 O
0.281 0.824 0.404 O
0.282 0.492 0.741 O
0.284 0.992 0.738 O
0.719 0.673 0.581 O
0.720 0.170 0.579 O
0.725 0.841 0.913 O
0.729 0.988 0.249 O
0.730 0.514 0.249 O
0.731 0.336 0.896 O
```